Record 1
Density functional theory data (GGA-PBE) for an optimized crystal structure of Na3TmSi2O7.

Summary:
Energy relative to the elements ... -296 kJ/mol of atoms
Theoretical density ... 3.77 Mg/m³
SG ... P6_3
Total moment ... 0.00 μB/cell
E (MP2020) ... -563.028 eV/cell
Crystal system ... hexagonal

```
Na3TmSi2O7
1.0
9.459 0.000 0.000
-4.730 8.192 0.000
0.000 0.000 13.834
Na Tm Si O
18 6 12 42
Direct
0.000 0.000 0.000
0.000 0.000 0.500
0.015 0.684 0.588
0.016 0.684 0.911
0.316 0.331 0.588
0.316 0.332 0.911
0.331 0.015 0.088
0.332 0.016 0.411
0.333 0.667 0.233
0.333 0.667 0.750
0.667 0.333 0.250
0.667 0.333 0.733
0.668 0.984 0.911
0.669 0.985 0.588
0.684 0.668 0.411
0.684 0.669 0.088
0.984 0.316 0.411
0.985 0.316 0.088
0.000 0.000 0.250
0.000 0.000 0.750
0.333 0.667 0.519
0.333 0.667 0.982
0.667 0.333 0.019
0.667 0.333 0.482
0.018 0.671 0.142
0.019 0.672 0.361
0.328 0.347 0.361
0.329 0.347 0.142
0.347 0.018 0.642
0.347 0.019 0.861
0.653 0.981 0.361
0.653 0.982 0.142
0.671 0.653 0.642
0.672 0.653 0.861
0.981 0.328 0.861
0.982 0.329 0.642
0.046 0.197 0.642
0.047 0.197 0.859
0.099 0.676 0.251
0.127 0.514 0.882
0.128 0.515 0.620
0.150 0.953 0.859
0.151 0.954 0.642
0.171 0.730 0.437
0.173 0.728 0.067
0.197 0.150 0.359
0.197 0.151 0.142
0.270 0.441 0.437
0.272 0.445 0.067
0.324 0.423 0.251
0.387 0.873 0.882
0.388 0.872 0.620
0.423 0.099 0.751
0.441 0.171 0.937
0.445 0.173 0.567
0.485 0.612 0.620
0.486 0.613 0.882
0.514 0.387 0.382
0.515 0.388 0.120
0.555 0.827 0.067
0.559 0.829 0.437
0.577 0.901 0.251
0.612 0.128 0.120
0.613 0.127 0.382
0.676 0.577 0.751
0.728 0.555 0.567
0.730 0.559 0.937
0.803 0.849 0.642
0.803 0.850 0.859
0.827 0.272 0.567
0.829 0.270 0.937
0.849 0.046 0.142
0.850 0.047 0.359
0.872 0.485 0.120
0.873 0.486 0.382
0.901 0.324 0.751
0.953 0.803 0.359
0.954 0.803 0.142
```


Record 2
Density functional theory data (GGA-PBE) for an optimized crystal structure of NaZr2CuF11.

Summary:
Energy relative to the elements ... -335 kJ/mol of atoms
Theoretical density ... 3.55 Mg/m³
SG ... P-1
Total moment ... 1.00 μB/cell
E (MP2020) ... -95.601 eV/cell
Excess energy over the best structure of this formula in the dataset ... 0.0 meV per atom
Crystal system ... triclinic

```
NaZr2CuF11
1.0
5.569 0.000 0.000
-1.622 5.662 0.000
-0.832 -3.068 7.088
Na Zr Cu F
1 2 1 11
Direct
0.000 0.000 0.000
0.484 0.268 0.763
0.516 0.732 0.237
0.000 0.500 0.500
0.191 0.945 0.718
0.222 0.400 0.650
0.241 0.516 0.341
0.249 0.822 0.114
0.347 0.339 0.024
0.500 0.000 0.500
0.653 0.661 0.976
0.751 0.178 0.886
0.759 0.484 0.659
0.778 0.600 0.350
0.809 0.055 0.282
```


Q: Which of these has the highest E (MP2020)?
A: NaZr2CuF11